1.
Here is a relaxed Fe4O5F3 crystal from the Materials Project. Energies are from PBE+U.

- Maximum piezoelectric response: 1.06 C/m²
- Energy above the most stable polymorph in this dataset: 0.024 eV/atom
- Theoretical density: 4.4 g/cm³
- Calculated formation energy: -2139 kJ/mol of formula units
- M_tot: 1.583 μB per atom

Unit cell a=4.757 b=4.757 c=6.048 alpha=90.00 beta=90.00 gamma=95.23
Fractional positions:
Fe 0.529 0.471 0.500
F 0.805 0.195 0.000
F 0.187 0.813 0.000
Fe 0.990 0.010 0.257
O 0.812 0.188 0.500
O 0.306 0.306 0.238
F 0.194 0.806 0.500
O 0.694 0.694 0.238
Fe 0.990 0.010 0.743
O 0.306 0.306 0.762
O 0.694 0.694 0.762
Fe 0.494 0.506 0.000

---

2.
Here is a relaxed NaCoBO3 crystal from the Materials Project. Energies are from PBE+U.

- Theoretical density: 3.7 g/cm³
- Calculated formation energy: -1226 kJ/mol of formula units
- M_tot: 0.000 μB per atom

Unit cell a=5.039 b=7.340 c=7.340 alpha=74.40 beta=102.91 gamma=102.91
Fractional positions:
B 0.375 0.043 0.707
O 0.373 0.561 0.740
O 0.625 0.801 0.449
B 0.875 0.543 0.207
O 0.127 0.939 0.760
O 0.875 0.699 0.051
Na 0.875 0.211 0.539
O 0.125 0.301 0.949
Co 0.250 0.250 0.250
Na 0.375 0.711 0.039
O 0.873 0.061 0.240
O 0.623 0.990 0.811
O 0.377 0.009 0.189
Co 0.000 0.000 0.000
B 0.625 0.957 0.293
Na 0.625 0.289 0.961
O 0.627 0.439 0.260
Co 0.500 0.500 0.500
O 0.123 0.490 0.311
Co 0.750 0.750 0.750
O 0.877 0.509 0.689
O 0.375 0.199 0.551
Na 0.125 0.789 0.461
B 0.125 0.457 0.793

---

3.
Here is a relaxed FeNi2O4 crystal from the Materials Project. Energies are from PBE+U.

- Energy above the most stable polymorph in this dataset: 0.014 eV/atom
- Theoretical density: 5.4 g/cm³
- Calculated formation energy: -874 kJ/mol of formula units
- M_tot: 0.397 μB per atom

Unit cell a=5.885 b=5.932 c=5.932 alpha=120.52 beta=90.00 gamma=119.74
Fractional positions:
O 0.760 0.020 0.269
Ni 0.500 0.000 0.500
O 0.240 0.509 0.260
Ni 0.000 0.000 0.500
O 0.759 0.017 0.741
O 0.240 0.980 0.731
O 0.760 0.491 0.740
Fe 0.371 0.242 0.129
Fe 0.629 0.758 0.871
O 0.231 0.491 0.740
O 0.769 0.509 0.260
Ni 0.000 0.500 0.500
O 0.241 0.983 0.259
Ni 0.000 0.500 0.000

---

4.
Here is a relaxed Li4Mn3CuO8 crystal from the Materials Project. Energies are from PBE+U.

- Theoretical density: 4.3 g/cm³
- Calculated formation energy: -2976 kJ/mol of formula units
- M_tot: 0.770 μB per atom

Unit cell a=10.277 b=10.277 c=14.529 alpha=19.52 beta=19.52 gamma=33.65
Fractional positions:
Mn 0.500 0.500 0.000
O 0.000 0.000 0.248
O 0.000 0.000 0.752
O 0.475 0.475 0.772
O 0.525 0.525 0.228
Mn 0.500 0.000 0.000
Mn 0.000 0.500 0.000
O 0.475 0.000 0.277
Li 0.500 0.500 0.500
O 0.000 0.475 0.277
O 0.525 0.000 0.723
Li 0.000 0.500 0.500
Li 0.000 0.000 0.500
O 0.000 0.525 0.723
Li 0.500 0.000 0.500
Cu 0.000 0.000 0.000

---

5.
Here is a relaxed Ba2CoB6O12 crystal from the Materials Project. Energies are from PBE+U.

- Theoretical density: 3.9 g/cm³
- Calculated formation energy: -5808 kJ/mol of formula units
- M_tot: 0.000 μB per atom

Unit cell a=7.030 b=12.320 c=7.035 alpha=91.10 beta=61.10 gamma=74.00
Fractional positions:
O 0.085 0.657 0.497
B 0.646 0.683 0.439
O 0.195 0.286 0.751
B 0.634 0.122 0.477
Ba 0.792 0.396 0.187
B 0.645 0.183 0.939
O 0.085 0.157 0.998
Ba 0.208 0.604 0.813
O 0.464 0.598 0.171
B 0.757 0.823 0.188
O 0.315 0.920 0.005
O 0.840 0.043 0.356
O 0.160 0.458 0.143
O 0.313 0.420 0.506
B 0.243 0.177 0.812
B 0.757 0.322 0.688
O 0.915 0.343 0.503
O 0.685 0.080 0.995
O 0.464 0.098 0.671
B 0.243 0.678 0.312
B 0.366 0.878 0.523
O 0.915 0.843 0.002
O 0.805 0.214 0.749
O 0.572 0.732 0.928
O 0.160 0.957 0.644
O 0.536 0.902 0.329
O 0.428 0.268 0.072
B 0.366 0.378 0.023
Co 0.000 0.000 0.000
B 0.355 0.817 0.061
O 0.840 0.542 0.857
O 0.572 0.232 0.428
B 0.634 0.622 0.977
O 0.195 0.786 0.251
B 0.354 0.317 0.561
Co 0.000 0.500 0.500
O 0.805 0.714 0.249
Ba 0.791 0.896 0.688
Ba 0.209 0.104 0.312
O 0.536 0.402 0.829
O 0.687 0.580 0.494
O 0.428 0.768 0.572

---

6.
Here is a relaxed K2Fe3P4H4O16 crystal from the Materials Project. Energies are from PBE+U.

- Theoretical density: 2.9 g/cm³
- Calculated formation energy: -6265 kJ/mol of formula units
- M_tot: 0.414 μB per atom

Unit cell a=8.379 b=9.306 c=9.403 alpha=99.17 beta=90.00 gamma=90.00
Fractional positions:
O 0.861 0.135 0.855
K 0.725 0.429 0.518
O 0.580 0.039 0.890
P 0.197 0.900 0.711
O 0.622 0.814 0.389
O 0.699 0.007 0.637
Fe 0.640 0.865 0.004
O 0.199 0.993 0.863
O 0.801 0.007 0.137
O 0.651 0.694 0.124
P 0.062 0.304 0.233
O 0.420 0.961 0.110
O 0.349 0.306 0.876
Fe 0.860 0.865 0.504
O 0.361 0.865 0.645
H 0.036 0.784 0.270
H 0.989 0.624 0.296
H 0.464 0.784 0.770
O 0.139 0.865 0.145
P 0.303 0.900 0.211
O 0.044 0.454 0.190
O 0.378 0.186 0.611
H 0.511 0.624 0.796
O 0.956 0.546 0.810
O 0.503 0.727 0.845
H 0.011 0.376 0.704
O 0.626 0.258 0.764
K 0.275 0.571 0.482
O 0.122 0.186 0.111
O 0.849 0.694 0.624
O 0.997 0.727 0.345
P 0.697 0.100 0.789
O 0.080 0.961 0.610
P 0.562 0.696 0.267
Fe 0.360 0.135 0.996
O 0.456 0.454 0.690
O 0.878 0.814 0.889
Fe 0.500 0.000 0.500
O 0.639 0.135 0.355
O 0.003 0.273 0.655
H 0.489 0.376 0.204
O 0.874 0.258 0.264
O 0.920 0.039 0.390
O 0.497 0.273 0.155
Fe 0.000 0.000 0.000
P 0.803 0.100 0.289
H 0.964 0.216 0.730
P 0.438 0.304 0.733
P 0.938 0.696 0.767
O 0.374 0.742 0.236
K 0.775 0.429 0.018
O 0.151 0.306 0.376
O 0.126 0.742 0.736
O 0.301 0.993 0.363
O 0.544 0.546 0.310
K 0.225 0.571 0.982
H 0.536 0.216 0.230
Fe 0.140 0.135 0.496

---

7.
Here is a relaxed CsFeBP3O11 crystal from the Materials Project. Energies are from PBE+U.

- Theoretical density: 3.2 g/cm³
- Calculated formation energy: -4275 kJ/mol of formula units
- M_tot: 0.294 μB per atom

Unit cell a=8.533 b=8.720 c=12.984 alpha=90.00 beta=90.00 gamma=90.00
Fractional positions:
O 0.460 0.018 0.846
O 0.420 0.625 0.339
Fe 0.000 0.500 0.000
O 0.920 0.875 0.839
O 0.040 0.518 0.654
P 0.435 0.984 0.250
O 0.781 0.430 0.980
Cs 0.142 0.153 0.750
O 0.000 0.000 0.500
O 0.781 0.430 0.520
P 0.935 0.516 0.750
O 0.219 0.570 0.480
O 0.080 0.125 0.161
P 0.118 0.127 0.457
O 0.719 0.930 0.520
P 0.065 0.484 0.250
B 0.672 0.317 0.750
Cs 0.358 0.653 0.750
O 0.336 0.134 0.250
O 0.836 0.366 0.750
Cs 0.858 0.847 0.250
O 0.164 0.634 0.250
O 0.925 0.724 0.009
O 0.425 0.776 0.991
P 0.618 0.373 0.543
P 0.118 0.127 0.043
B 0.328 0.683 0.250
O 0.281 0.070 0.020
O 0.814 0.649 0.750
O 0.080 0.125 0.339
O 0.960 0.482 0.346
O 0.580 0.375 0.839
O 0.500 0.500 0.500
P 0.618 0.373 0.957
B 0.172 0.183 0.250
O 0.186 0.351 0.250
P 0.382 0.627 0.043
O 0.314 0.851 0.250
P 0.882 0.873 0.543
O 0.460 0.018 0.654
O 0.925 0.724 0.491
O 0.075 0.276 0.509
O 0.540 0.982 0.154
O 0.575 0.224 0.491
O 0.686 0.149 0.750
O 0.575 0.224 0.009
O 0.920 0.875 0.661
O 0.425 0.776 0.509
Fe 0.000 0.500 0.500
Fe 0.500 0.000 0.000
O 0.000 0.000 0.000
O 0.580 0.375 0.661
O 0.719 0.930 0.980
P 0.382 0.627 0.457
O 0.960 0.482 0.154
P 0.565 0.016 0.750
B 0.828 0.817 0.750
O 0.075 0.276 0.991
O 0.664 0.866 0.750
O 0.420 0.625 0.161
O 0.040 0.518 0.846
O 0.281 0.070 0.480
O 0.219 0.570 0.020
Cs 0.642 0.347 0.250
O 0.540 0.982 0.346
Fe 0.500 0.000 0.500
O 0.500 0.500 0.000
P 0.882 0.873 0.957

---

8.
Here is a relaxed Li2NbFe3O8 crystal from the Materials Project. Energies are from PBE+U.

- Maximum piezoelectric response: 0.00 C/m²
- Energy above the most stable polymorph in this dataset: 0.023 eV/atom
- Theoretical density: 4.2 g/cm³
- Calculated formation energy: -2917 kJ/mol of formula units
- M_tot: 1.071 μB per atom

Unit cell a=8.606 b=8.606 c=8.606 alpha=90.00 beta=90.00 gamma=90.00
Fractional positions:
O 0.866 0.139 0.138
O 0.116 0.888 0.611
O 0.638 0.634 0.861
Fe 0.632 0.875 0.882
Li 0.250 0.750 0.750
Li 0.000 0.000 0.000
O 0.612 0.389 0.616
Fe 0.368 0.375 0.618
O 0.138 0.866 0.139
O 0.634 0.861 0.638
O 0.111 0.384 0.112
O 0.384 0.112 0.111
O 0.884 0.388 0.889
O 0.388 0.889 0.884
Nb 0.125 0.875 0.375
Li 0.250 0.250 0.250
Fe 0.618 0.368 0.375
O 0.639 0.362 0.134
Fe 0.375 0.618 0.368
O 0.385 0.385 0.385
Li 0.750 0.750 0.250
Fe 0.118 0.132 0.625
Fe 0.382 0.868 0.125
Li 0.500 0.500 0.000
Nb 0.875 0.375 0.125
Li 0.500 0.000 0.500
O 0.885 0.115 0.615
Fe 0.868 0.125 0.382
Li 0.750 0.250 0.750
O 0.135 0.365 0.635
O 0.611 0.116 0.888
O 0.889 0.884 0.388
Fe 0.875 0.882 0.632
O 0.861 0.638 0.634
O 0.361 0.862 0.366
O 0.134 0.639 0.362
O 0.888 0.611 0.116
O 0.366 0.361 0.862
Fe 0.132 0.625 0.118
O 0.862 0.366 0.361
O 0.389 0.616 0.612
O 0.616 0.612 0.389
Fe 0.625 0.118 0.132
O 0.865 0.865 0.865
O 0.112 0.111 0.384
O 0.635 0.135 0.365
Nb 0.625 0.625 0.625
O 0.139 0.138 0.866
O 0.115 0.615 0.885
O 0.615 0.885 0.115
Nb 0.375 0.125 0.875
Fe 0.125 0.382 0.868
Li 0.000 0.500 0.500
O 0.365 0.635 0.135
O 0.362 0.134 0.639
Fe 0.882 0.632 0.875

---

9.
Here is a relaxed Sr4LiMn2Cu3S4O4 crystal from the Materials Project. Energies are from PBE+U.

- Energy above the most stable polymorph in this dataset: 0.095 eV/atom
- Theoretical density: 4.7 g/cm³
- Calculated formation energy: -3035 kJ/mol of formula units
- M_tot: 0.556 μB per atom

Unit cell a=6.040 b=5.841 c=9.212 alpha=89.88 beta=68.58 gamma=89.94
Fractional positions:
Sr 0.583 0.997 0.808
O 0.225 0.241 0.011
Sr 0.490 0.001 0.211
Mn 0.486 0.498 0.000
Cu 0.004 0.268 0.497
S 0.191 0.003 0.642
Sr 0.083 0.501 0.801
Cu 0.505 0.281 0.509
Mn 0.013 0.000 0.929
S 0.662 0.490 0.668
O 0.748 0.749 0.996
S 0.811 0.003 0.383
Sr 0.903 0.499 0.186
S 0.341 0.491 0.349
Li 0.106 0.998 0.149
Cu 0.507 0.723 0.511
O 0.748 0.248 0.993
O 0.228 0.758 0.008

---

10.
Here is a relaxed KCrNiF6 crystal from the Materials Project. Energies are from PBE+U.

- Theoretical density: 3.1 g/cm³
- Calculated formation energy: -2458 kJ/mol of formula units
- M_tot: 0.556 μB per atom

Unit cell a=7.338 b=7.338 c=7.338 alpha=120.25 beta=120.10 gamma=89.69
Fractional positions:
F 0.074 0.429 0.258
K 0.372 0.122 0.250
F 0.926 0.571 0.742
F 0.671 0.429 0.856
F 0.671 0.815 0.242
F 0.925 0.175 0.750
Ni 0.000 0.500 0.000
K 0.628 0.878 0.750
F 0.329 0.571 0.144
Cr 0.000 0.500 0.500
F 0.926 0.185 0.356
F 0.319 0.569 0.750
F 0.074 0.815 0.644
Cr 0.500 0.500 0.000
F 0.075 0.825 0.250
Ni 0.000 0.000 0.500
F 0.681 0.431 0.250
F 0.329 0.185 0.758